[1]
A plane-wave DFT calculation with PBE with a Hubbard U was carried out for a relaxed structure of Ca8ZnCo3Si8O28.

a b c (Å): 11.192 11.192 5.062
angles (deg): 90.00 90.00 90.00
Positions (direct):
Si1 0.109 0.750 0.063
Co1 0.000 0.500 0.000
Si2 0.891 0.250 0.063
Ca1 0.919 0.750 0.496
Si3 0.750 0.891 0.937
O1 0.135 0.052 0.781
O2 0.052 0.865 0.219
Co2 0.000 0.000 0.000
O3 0.865 0.948 0.781
O4 0.250 0.107 0.256
O5 0.449 0.865 0.219
O6 0.750 0.607 0.256
O7 0.250 0.393 0.256
Si4 0.250 0.391 0.938
O8 0.634 0.551 0.782
O9 0.635 0.948 0.781
Ca2 0.750 0.081 0.504
Ca3 0.081 0.250 0.496
O10 0.135 0.449 0.781
O11 0.393 0.750 0.744
O12 0.948 0.135 0.219
Ca4 0.750 0.419 0.504
O13 0.865 0.551 0.781
O14 0.250 0.750 0.178
O15 0.750 0.750 0.822
O16 0.449 0.634 0.218
Si5 0.250 0.109 0.937
O17 0.250 0.250 0.822
O18 0.893 0.250 0.744
O19 0.365 0.052 0.781
O20 0.366 0.449 0.782
Zn1 0.500 0.500 0.000
O21 0.750 0.893 0.256
O22 0.607 0.250 0.744
Ca5 0.250 0.581 0.504
O23 0.107 0.750 0.744
Ca6 0.250 0.919 0.504
Si6 0.750 0.609 0.938
O24 0.750 0.250 0.178
Si7 0.609 0.250 0.062
Ca7 0.581 0.750 0.496
O25 0.052 0.635 0.219
Ca8 0.419 0.250 0.496
O26 0.551 0.366 0.218
Si8 0.391 0.750 0.062
O27 0.551 0.135 0.219
Co3 0.500 0.000 0.000
O28 0.948 0.365 0.219

Results
**Space group**: P-4 (81)



[2]
A plane-wave DFT calculation with PBE with a Hubbard U was carried out for a relaxed structure of CaSmCoO4.

a b c (Å): 6.562 6.562 5.475
angles (deg): 90.00 90.00 132.62
Positions (direct):
O1 0.081 0.919 0.454
O2 0.919 0.081 0.954
Ca1 0.894 0.106 0.514
O3 0.016 0.485 0.249
O4 0.575 0.425 0.054
Ca2 0.106 0.894 0.014
O5 0.425 0.575 0.554
O6 0.485 0.016 0.749
O7 0.515 0.984 0.249
O8 0.984 0.515 0.749
Sm1 0.612 0.388 0.481
Co1 0.751 0.249 0.999
Sm2 0.388 0.612 0.981
Co2 0.249 0.751 0.499

Results
**Space group**: Cmc2_1 (36)



[3]
A plane-wave DFT calculation with PBE with a Hubbard U was carried out for a relaxed structure of CaSmCo4O12.

a b c (Å): 5.281 5.281 7.492
angles (deg): 90.00 90.00 90.00
Positions (direct):
O1 0.756 0.756 0.257
O2 0.756 0.244 0.743
Co1 0.000 0.500 0.754
O3 0.000 0.500 0.500
Sm1 0.000 0.000 0.500
O4 0.244 0.244 0.257
Co2 0.000 0.500 0.246
O5 0.500 0.000 0.000
O6 0.244 0.244 0.743
O7 0.756 0.756 0.743
O8 0.244 0.756 0.743
O9 0.500 0.000 0.500
Ca1 0.500 0.500 0.000
O10 0.756 0.244 0.257
Co3 0.500 0.000 0.754
O11 0.000 0.500 0.000
O12 0.244 0.756 0.257
Co4 0.500 0.000 0.246

Results
**Space group**: P4/mmm (123)



[4]
A plane-wave DFT calculation with PBE with a Hubbard U was carried out for a relaxed structure of CaCoSn2O7.

a b c (Å): 15.192 7.582 10.912
angles (deg): 72.20 90.00 90.00
Positions (direct):
O1 0.219 0.220 0.246
O2 0.177 0.566 0.088
O3 0.483 0.238 0.712
Co1 0.843 0.362 0.599
O4 0.719 0.780 0.254
O5 0.503 0.847 0.556
O6 0.284 0.396 0.915
O7 0.157 0.977 0.862
O8 0.340 0.033 0.128
Sn1 0.224 0.479 0.729
O9 0.517 0.762 0.288
O10 0.823 0.434 0.912
O11 0.216 0.396 0.415
Ca1 0.616 0.699 0.453
O12 0.835 0.095 0.616
Sn2 0.479 0.599 0.185
O13 0.606 0.562 0.677
O14 0.840 0.967 0.372
Co2 0.657 0.362 0.099
Ca2 0.528 0.923 0.770
O15 0.533 0.783 0.026
O16 0.281 0.220 0.746
Co3 0.249 0.975 0.749
O17 0.250 0.721 0.278
Co4 0.157 0.638 0.401
Ca3 0.384 0.301 0.547
Sn3 0.127 0.821 0.039
O18 0.665 0.095 0.116
O19 0.716 0.604 0.085
O20 0.003 0.153 0.944
O21 0.367 0.568 0.081
O22 0.033 0.217 0.474
O23 0.750 0.279 0.722
Co5 0.749 0.025 0.751
Sn4 0.627 0.179 0.461
Sn5 0.724 0.521 0.771
O24 0.166 0.005 0.122
O25 0.633 0.432 0.919
O26 0.967 0.783 0.526
Ca4 0.972 0.923 0.270
O27 0.834 0.995 0.878
Sn6 0.021 0.599 0.685
O28 0.057 0.625 0.313
Sn7 0.345 0.144 0.937
Sn8 0.521 0.401 0.815
O29 0.160 0.033 0.628
Co6 0.343 0.638 0.901
Co7 0.251 0.975 0.249
O30 0.467 0.217 0.974
O31 0.983 0.762 0.788
O32 0.335 0.905 0.884
Co8 0.751 0.025 0.251
O33 0.781 0.780 0.754
Sn9 0.873 0.179 0.961
O34 0.165 0.905 0.384
O35 0.394 0.438 0.323
Sn10 0.655 0.856 0.063
Sn11 0.155 0.144 0.437
O36 0.660 0.967 0.872
Sn12 0.276 0.479 0.229
Ca5 0.116 0.301 0.047
O37 0.334 0.005 0.622
O38 0.017 0.238 0.212
O39 0.894 0.562 0.177
O40 0.343 0.977 0.362
Ca6 0.884 0.699 0.953
O41 0.443 0.625 0.813
O42 0.323 0.566 0.588
Sn13 0.776 0.521 0.271
Ca7 0.472 0.077 0.230
O43 0.997 0.847 0.056
O44 0.750 0.279 0.222
Sn14 0.373 0.821 0.539
Ca8 0.028 0.077 0.730
Sn15 0.845 0.856 0.563
O45 0.557 0.375 0.187
O46 0.843 0.023 0.138
O47 0.106 0.438 0.823
Sn16 0.979 0.401 0.315
O48 0.867 0.432 0.419
O49 0.666 0.995 0.378
O50 0.250 0.721 0.778
O51 0.784 0.604 0.585
O52 0.133 0.568 0.581
O53 0.497 0.153 0.444
O54 0.677 0.434 0.412
O55 0.657 0.023 0.638
O56 0.943 0.375 0.687

Results
**Space group**: P2_1/c (14)



[5]
A plane-wave DFT calculation with PBE with a Hubbard U was carried out for a relaxed structure of SrCa3Co4O10.

a b c (Å): 10.686 11.147 17.211
angles (deg): 109.14 108.38 89.06
Positions (direct):
O1 0.628 0.120 0.991
Co1 0.507 0.502 0.003
Ca1 0.806 0.565 0.609
Ca2 0.556 0.294 0.112
O2 0.187 0.936 0.759
O3 0.425 0.062 0.743
O4 0.187 0.444 0.751
Ca3 0.449 0.708 0.391
O5 0.631 0.384 0.507
O6 0.932 0.063 0.758
Ca4 0.197 0.936 0.894
O7 0.945 0.901 0.357
O8 0.926 0.056 0.239
O9 0.124 0.623 0.482
Co2 0.002 0.997 0.495
O10 0.643 0.374 0.015
Co3 0.006 0.001 0.001
O11 0.337 0.289 0.144
O12 0.128 0.122 0.489
O13 0.088 0.603 0.143
Co4 0.002 0.499 0.496
Co5 0.109 0.091 0.245
O14 0.386 0.883 0.017
Ca5 0.554 0.795 0.111
O15 0.877 0.872 0.502
Co6 0.108 0.595 0.250
O16 0.869 0.126 0.989
Co7 0.608 0.091 0.748
Co8 0.607 0.593 0.248
O17 0.943 0.396 0.860
Co9 0.859 0.902 0.754
O18 0.129 0.382 0.504
Ca6 0.196 0.434 0.389
Sr1 0.058 0.297 0.611
O19 0.377 0.375 0.503
Co10 0.359 0.906 0.251
Sr2 0.198 0.440 0.891
Co11 0.363 0.905 0.750
O20 0.386 0.383 0.017
O21 0.877 0.611 0.989
Sr3 0.446 0.201 0.889
O22 0.875 0.379 0.507
Sr4 0.806 0.059 0.611
O23 0.133 0.386 0.017
O24 0.840 0.288 0.145
Co12 0.859 0.409 0.753
Ca7 0.056 0.792 0.111
Co13 0.256 0.252 0.003
O25 0.195 0.710 0.356
O26 0.438 0.573 0.759
Co14 0.255 0.750 0.497
O27 0.677 0.932 0.250
Sr5 0.310 0.564 0.612
Ca8 0.695 0.433 0.389
O28 0.873 0.111 0.488
Ca9 0.946 0.706 0.389
Ca10 0.802 0.067 0.108
Ca11 0.948 0.706 0.892
Co15 0.858 0.409 0.250
Sr6 0.058 0.801 0.611
Co16 0.752 0.746 0.495
O29 0.125 0.124 0.990
O30 0.444 0.898 0.358
O31 0.075 0.592 0.638
O32 0.925 0.570 0.249
Ca12 0.700 0.432 0.893
O33 0.629 0.628 0.990
O34 0.336 0.294 0.646
Ca13 0.305 0.067 0.110
Ca14 0.056 0.294 0.111
Co17 0.605 0.093 0.249
Co18 0.503 0.497 0.494
O35 0.340 0.788 0.144
O36 0.132 0.884 0.506
Co19 0.506 0.002 0.004
Co20 0.358 0.407 0.250
O37 0.630 0.872 0.507
O38 0.884 0.877 0.014
Ca15 0.947 0.207 0.893
Co21 0.252 0.247 0.494
O39 0.693 0.209 0.855
Ca16 0.445 0.712 0.893
O40 0.451 0.900 0.859
O41 0.335 0.796 0.641
O42 0.927 0.570 0.752
O43 0.195 0.714 0.857
O44 0.837 0.784 0.140
O45 0.378 0.615 0.486
O46 0.586 0.600 0.643
Ca17 0.445 0.205 0.389
O47 0.192 0.207 0.861
Co22 0.857 0.902 0.247
O48 0.627 0.620 0.487
O49 0.382 0.878 0.510
Sr7 0.944 0.200 0.384
O50 0.702 0.718 0.862
O51 0.632 0.886 0.014
O52 0.176 0.432 0.250
O53 0.946 0.899 0.864
O54 0.176 0.930 0.249
O55 0.425 0.567 0.250
Ca18 0.694 0.936 0.891
O56 0.579 0.091 0.638
Co23 0.107 0.600 0.750
O57 0.368 0.114 0.483
Co24 0.367 0.410 0.754
O58 0.686 0.211 0.355
O59 0.445 0.398 0.358
O60 0.691 0.707 0.354
Co25 0.756 0.751 0.001
O61 0.588 0.104 0.143
Ca19 0.693 0.930 0.389
O62 0.189 0.208 0.351
O63 0.682 0.442 0.759
O64 0.874 0.613 0.486
Ca20 0.198 0.934 0.389
Ca21 0.308 0.065 0.605
Co26 0.757 0.251 0.004
O65 0.588 0.601 0.141
Co27 0.503 0.997 0.496
Co28 0.257 0.753 0.004
Sr8 0.557 0.299 0.611
Ca22 0.807 0.565 0.110
Co29 0.751 0.248 0.496
O66 0.886 0.382 0.017
O67 0.374 0.632 0.993
O68 0.831 0.792 0.644
O69 0.622 0.121 0.483
O70 0.675 0.431 0.249
Co30 0.615 0.602 0.754
O71 0.945 0.407 0.358
O72 0.377 0.112 0.993
O73 0.676 0.930 0.751
O74 0.450 0.408 0.864
O75 0.141 0.873 0.014
O76 0.083 0.088 0.643
Co31 0.111 0.093 0.754
O77 0.123 0.627 0.991
O78 0.829 0.298 0.644
O79 0.088 0.098 0.137
Ca23 0.559 0.795 0.609
Ca24 0.305 0.568 0.113
O80 0.423 0.066 0.249
Co32 0.007 0.500 0.004

Results
**Space group**: P1 (1)



[6]
A plane-wave DFT calculation with PBE with a Hubbard U was carried out for a relaxed structure of SrCaTbCoO6.

a b c (Å): 5.701 5.701 5.701
angles (deg): 60.00 60.00 60.00
Positions (direct):
Tb1 0.500 0.500 0.500
O1 0.771 0.771 0.229
Sr1 0.250 0.250 0.250
Co1 0.000 0.000 0.000
Ca1 0.750 0.750 0.750
O2 0.771 0.229 0.771
O3 0.771 0.229 0.229
O4 0.229 0.771 0.229
O5 0.229 0.229 0.771
O6 0.229 0.771 0.771

Results
**Space group**: F-43m (216)



| no. | electronic total energy (eV per atom) |
| --- | --- |
| 1 | -7.18 |
| 2 | -6.92 |
| 3 | -5.83 |
| 4 | -6.04 |
| 5 | -6.16 |
| 6 | -6.44 |